1.
{"formula": "In", "functional": "r²SCAN", "state": "optimized geometry", "cell": [[-0.1658, 2.4507, -2.2565], [-1.9301, -2.7007, -0.3262], [-3.9417, 2.4594, 2.9606]], "species": ["In", "In"], "frac_coords": [[0.3333, 0.6667, 0.2500], [0.6667, 0.3333, 0.7500]], "crystal_system": "hexagonal", "de_polymorph_mev_per_atom": 7, "magmom_total_mub_per_fu": 0.0}

2.
{"formula": "CaSiN2", "functional": "r²SCAN", "state": "optimized geometry", "cell": [[-1.4835, -2.7188, -4.0842], [-5.4479, -6.1384, 6.0652], [-11.7738, 8.8523, -1.6163]], "species": ["Si", "N", "N", "Si", "N", "Si", "N", "Si", "Ca", "N", "Ca", "Ca", "Ca", "N", "Ca", "Ca", "Si", "N", "Si", "Si", "N", "N", "N", "Ca", "N", "N", "Ca", "N", "N", "Ca", "N", "Ca", "N", "Ca", "Si", "N", "N", "N", "Ca", "N", "Ca", "N", "N", "N", "Si", "N", "Si", "N", "Si", "Ca", "Si", "Si", "N", "N", "N", "N", "N", "Si", "N", "Si", "N", "Ca", "Si", "Ca"], "frac_coords": [[0.3165, 0.2699, 0.4373], [0.7764, 0.1798, 0.1615], [0.3028, 0.5732, 0.9089], [0.7732, 0.9836, 0.6880], [0.2236, 0.6798, 0.3385], [0.1835, 0.7301, 0.9373], [0.6972, 0.4268, 0.0911], [0.1835, 0.7699, 0.4373], [0.8474, 0.2742, 0.3124], [0.7236, 0.8202, 0.6615], [0.7590, 0.5091, 0.4348], [0.2590, 0.5091, 0.0652], [0.2590, 0.9909, 0.5652], [0.2764, 0.3202, 0.8385], [0.1526, 0.7258, 0.6876], [0.7410, 0.4909, 0.9348], [0.2268, 0.4836, 0.8120], [0.3514, 0.7760, 0.0354], [0.3165, 0.2301, 0.9373], [0.2268, 0.0164, 0.3120], [0.2236, 0.8202, 0.8385], [0.9052, 0.5227, 0.7841], [0.1972, 0.0732, 0.9089], [0.7590, 0.9909, 0.9348], [0.4052, 0.9773, 0.2159], [0.4052, 0.5227, 0.7159], [0.1526, 0.7742, 0.1876], [0.3028, 0.9268, 0.4089], [0.1972, 0.4268, 0.4089], [0.3474, 0.2258, 0.6876], [0.6486, 0.2240, 0.9646], [0.6526, 0.7258, 0.8124], [0.0948, 0.0227, 0.7159], [0.6526, 0.7742, 0.3124], [0.6835, 0.7699, 0.0627], [0.2764, 0.1798, 0.3385], [0.8028, 0.5732, 0.5911], [0.8514, 0.7760, 0.4646], [0.3474, 0.2742, 0.1876], [0.1486, 0.2760, 0.0354], [0.7410, 0.0091, 0.4348], [0.6972, 0.0732, 0.5911], [0.8028, 0.9268, 0.0911], [0.7764, 0.3202, 0.6615], [0.2732, 0.9836, 0.8120], [0.9052, 0.9773, 0.2841], [0.7268, 0.4836, 0.6880], [0.1486, 0.2240, 0.5354], [0.8165, 0.2699, 0.0627], [0.2410, 0.4909, 0.5652], [0.2732, 0.5164, 0.3120], [0.7268, 0.0164, 0.1880], [0.0948, 0.4773, 0.2159], [0.7236, 0.6798, 0.1615], [0.6486, 0.2760, 0.4646], [0.5948, 0.0227, 0.7841], [0.5948, 0.4773, 0.2841], [0.7732, 0.5164, 0.1880], [0.8514, 0.7240, 0.9646], [0.6835, 0.7301, 0.5627], [0.3514, 0.7240, 0.5354], [0.2410, 0.0091, 0.0652], [0.8165, 0.2301, 0.5627], [0.8474, 0.2258, 0.8124]], "crystal_system": "orthorhombic", "e_tot_ev_per_atom": -9.976, "magmom_total_mub_per_fu": 0.0}

3.
{"formula": "Er2AlNi2", "functional": "r²SCAN", "state": "optimized geometry", "cell": [[4.6292, 1.0515, 2.3222], [-0.7153, 5.0553, 1.3638], [-2.5272, -4.4959, 1.1524]], "species": ["Al", "Ni", "Er", "Ni", "Er"], "frac_coords": [[0.0000, 0.0000, 0.0000], [0.2668, 0.5000, 0.7668], [0.7027, 0.2027, 0.5000], [0.7332, 0.5000, 0.2332], [0.2973, 0.7973, 0.5000]], "crystal_system": "orthorhombic", "e_tot_ev_per_atom": -20.284, "magmom_total_mub_per_fu": 0.0}

4.
{"formula": "DyH3O3", "functional": "r²SCAN", "state": "optimized geometry", "cell": [[3.1255, -5.4136, 0.0000], [3.1255, 5.4136, 0.0000], [0.0000, 0.0000, 3.5207]], "species": ["H", "H", "H", "O", "O", "H", "Dy", "O", "H", "H", "Dy", "O", "O", "O"], "frac_coords": [[0.7234, 0.8641, 0.7500], [0.1407, 0.2766, 0.7500], [0.8641, 0.1407, 0.2500], [0.0843, 0.3949, 0.7500], [0.9157, 0.6051, 0.2500], [0.2766, 0.1359, 0.2500], [0.6667, 0.3333, 0.7500], [0.6051, 0.6894, 0.7500], [0.8593, 0.7234, 0.2500], [0.1359, 0.8593, 0.7500], [0.3333, 0.6667, 0.2500], [0.3106, 0.9157, 0.7500], [0.6894, 0.0843, 0.2500], [0.3949, 0.3106, 0.2500]], "crystal_system": "hexagonal", "e_tot_ev_per_atom": -10.733, "magmom_total_mub_per_fu": 0.0}

5.
{"formula": "SrIn2O4", "functional": "r²SCAN", "state": "optimized geometry", "cell": [[3.2819, 0.0000, 0.0000], [0.0000, 9.8641, 0.0000], [0.0000, 0.0000, 11.5522]], "species": ["O", "O", "O", "In", "In", "O", "Sr", "In", "In", "O", "O", "O", "O", "O", "In", "Sr", "O", "In", "O", "O", "In", "In", "O", "O", "O", "Sr", "Sr", "O"], "frac_coords": [[0.7500, 0.2066, 0.1666], [0.2500, 0.3790, 0.9789], [0.7500, 0.1210, 0.4789], [0.2500, 0.5694, 0.3887], [0.7500, 0.9306, 0.8887], [0.2500, 0.7934, 0.8334], [0.2500, 0.7441, 0.1527], [0.2500, 0.0694, 0.1113], [0.7500, 0.4187, 0.1061], [0.7500, 0.6210, 0.0211], [0.7500, 0.9193, 0.0745], [0.7500, 0.4193, 0.4255], [0.2500, 0.2934, 0.6666], [0.2500, 0.4772, 0.2173], [0.2500, 0.0813, 0.6061], [0.7500, 0.7559, 0.6527], [0.7500, 0.5228, 0.7827], [0.2500, 0.5813, 0.8939], [0.2500, 0.0807, 0.9255], [0.2500, 0.8790, 0.5211], [0.7500, 0.9187, 0.3939], [0.7500, 0.4306, 0.6113], [0.2500, 0.9772, 0.2827], [0.7500, 0.7066, 0.3334], [0.7500, 0.0228, 0.7173], [0.7500, 0.2559, 0.8473], [0.2500, 0.2441, 0.3473], [0.2500, 0.5807, 0.5745]], "crystal_system": "orthorhombic", "e_tot_ev_per_atom": -14.273, "magmom_total_mub_per_fu": 0.0}

6.
{"formula": "Rb2MoO4", "functional": "r²SCAN", "state": "optimized geometry", "cell": [[6.2234, 0.0000, 0.0000], [-3.1117, 5.7759, -2.7905], [0.0000, -0.0111, 7.8646]], "species": ["Mo", "Rb", "O", "O", "Rb", "Mo", "O", "O", "Rb", "O", "O", "O", "Rb", "O"], "frac_coords": [[0.8249, 0.6497, 0.7768], [0.1547, 0.3094, 0.7465], [0.3738, 0.2840, 0.0792], [0.6262, 0.7160, 0.9208], [0.5120, 0.0240, 0.2381], [0.1751, 0.3503, 0.2232], [0.9103, 0.2840, 0.0792], [0.6737, 0.3474, 0.6283], [0.8453, 0.6906, 0.2535], [0.0897, 0.7160, 0.9208], [0.0926, 0.1853, 0.3546], [0.3263, 0.6526, 0.3717], [0.4880, 0.9760, 0.7619], [0.9074, 0.8147, 0.6454]], "crystal_system": "monoclinic", "de_polymorph_mev_per_atom": 0, "magmom_total_mub_per_fu": 0.0}

7.
{"formula": "KCa9MgP7O28", "functional": "r²SCAN", "state": "optimized geometry", "cell": [[12.6409, -5.1976, -0.0041], [12.6409, 5.1976, -0.0041], [10.5067, 0.0000, 8.7417]], "species": ["P", "O", "Ca", "O", "Mg", "Ca", "O", "P", "O", "O", "P", "Ca", "Ca", "O", "O", "O", "O", "O", "O", "O", "Ca", "O", "O", "P", "O", "K", "O", "P", "P", "Ca", "Ca", "O", "Ca", "P", "O", "K", "P", "O", "O", "O", "O", "Ca", "O", "O", "O", "O", "Ca", "O", "O", "O", "O", "Ca", "O", "O", "O", "O", "O", "Ca", "O", "O", "O", "O", "P", "O", "O", "O", "Ca", "Ca", "Ca", "O", "O", "O", "O", "O", "O", "O", "O", "Ca", "O", "O", "Ca", "O", "P", "O", "P", "Mg", "Ca", "O", "P", "P", "O", "P"], "frac_coords": [[0.3146, 0.8174, 0.2737], [0.6129, 0.1693, 0.1888], [0.9454, 0.9071, 0.3437], [0.2567, 0.3697, 0.8966], [0.9999, 0.9999, 0.9999], [0.5597, 0.9437, 0.9708], [0.6425, 0.3729, 0.3770], [0.2676, 0.2676, 0.2676], [0.3460, 0.1761, 0.6320], [0.8896, 0.6117, 0.3341], [0.1776, 0.2265, 0.6882], [0.4454, 0.8437, 0.4071], [0.9708, 0.5597, 0.9437], [0.1320, 0.6761, 0.8460], [0.6761, 0.8460, 0.1320], [0.1092, 0.2634, 0.3898], [0.1117, 0.3896, 0.8341], [0.6117, 0.3341, 0.8896], [0.8729, 0.1425, 0.8770], [0.3341, 0.8896, 0.6117], [0.0728, 0.6594, 0.0629], [0.3770, 0.6425, 0.3729], [0.1693, 0.1888, 0.6129], [0.7737, 0.3174, 0.8146], [0.1761, 0.6320, 0.3460], [0.6837, 0.6837, 0.6837], [0.8639, 0.1101, 0.1385], [0.6882, 0.1776, 0.2265], [0.7265, 0.6776, 0.1882], [0.1594, 0.5728, 0.5629], [0.4708, 0.4437, 0.0597], [0.1101, 0.1385, 0.8639], [0.5629, 0.1594, 0.5728], [0.1882, 0.7265, 0.6776], [0.1397, 0.8842, 0.3450], [0.1837, 0.1837, 0.1837], [0.2265, 0.6882, 0.1776], [0.6466, 0.0822, 0.3993], [0.6101, 0.3639, 0.6385], [0.7634, 0.6092, 0.8898], [0.3842, 0.6397, 0.8450], [0.4071, 0.4454, 0.8437], [0.1425, 0.8770, 0.8729], [0.2634, 0.3898, 0.1092], [0.8898, 0.7634, 0.6092], [0.3896, 0.8341, 0.1117], [0.4437, 0.0597, 0.4708], [0.1385, 0.8639, 0.1101], [0.3898, 0.1092, 0.2634], [0.3697, 0.8966, 0.2567], [0.3093, 0.3093, 0.3093], [0.8437, 0.4071, 0.4454], [0.0822, 0.3993, 0.6466], [0.8842, 0.3450, 0.1397], [0.8966, 0.2567, 0.3697], [0.8093, 0.8093, 0.8093], [0.3639, 0.6385, 0.6101], [0.0597, 0.4708, 0.4437], [0.7567, 0.3966, 0.8697], [0.1888, 0.6129, 0.1693], [0.8450, 0.3842, 0.6397], [0.6320, 0.3460, 0.1761], [0.2737, 0.3146, 0.8174], [0.8460, 0.1320, 0.6761], [0.8770, 0.8729, 0.1425], [0.5822, 0.1466, 0.8993], [0.9437, 0.9708, 0.5597], [0.9071, 0.3437, 0.9454], [0.0629, 0.0728, 0.6594], [0.3729, 0.3770, 0.6425], [0.1129, 0.6888, 0.6693], [0.8341, 0.1117, 0.3896], [0.3993, 0.6466, 0.0822], [0.6397, 0.8450, 0.3842], [0.6888, 0.6693, 0.1129], [0.8697, 0.7567, 0.3966], [0.3450, 0.1397, 0.8842], [0.6594, 0.0629, 0.0728], [0.6092, 0.8898, 0.7634], [0.3966, 0.8697, 0.7567], [0.5728, 0.5629, 0.1594], [0.1466, 0.8993, 0.5822], [0.8174, 0.2737, 0.3146], [0.6385, 0.6101, 0.3639], [0.7676, 0.7676, 0.7676], [0.4999, 0.4999, 0.4999], [0.3437, 0.9454, 0.9071], [0.6693, 0.1129, 0.6888], [0.8146, 0.7737, 0.3174], [0.6776, 0.1882, 0.7265], [0.8993, 0.5822, 0.1466], [0.3174, 0.8146, 0.7737]], "crystal_system": "trigonal", "e_tot_ev_per_atom": -9.729, "magmom_total_mub_per_fu": 0.0}

8.
{"formula": "Li2CeO3", "functional": "r²SCAN", "state": "optimized geometry", "cell": [[0.0000, 4.4835, 0.0000], [-4.7428, 2.2417, 0.0000], [0.0000, 0.0000, 3.5303]], "species": ["Li", "O", "O", "Li", "O", "Ce"], "frac_coords": [[0.6550, 0.6901, 0.5000], [0.8546, 0.2908, 0.5000], [0.5000, 0.0000, 0.0000], [0.3450, 0.3099, 0.5000], [0.1454, 0.7092, 0.5000], [0.0000, 0.0000, 0.0000]], "crystal_system": "orthorhombic", "e_tot_ev_per_atom": -11.781, "magmom_total_mub_per_fu": 0.0}